Na2P2O13: optimized geometry, PBE.

Summary:
Its crystal system is monoclinic. For the volume, the calculation gives 528.3 Å³/cell. The formation energy from the elements comes out at -113.9 kJ/mol of atoms.

a b c (Å): 7.0699 7.0699 12.3101
angles (deg): 69.50 69.50 72.36
Element x y z (fractional)
1 O 0.5166 0.4834 0.2500
2 O 0.6200 0.0903 0.3461
3 O 0.9218 0.1787 0.6170
4 O 0.4164 0.6600 0.5385
5 O 0.3400 0.5836 0.9615
6 O 0.5836 0.3400 0.4615
7 O 0.8087 0.0547 0.6496
8 O 0.1787 0.9218 0.1170
9 O 0.3246 0.4982 0.5851
10 O 0.8213 0.0782 0.8830
11 O 0.3800 0.9097 0.6539
12 O 0.6600 0.4164 0.0385
13 O 0.1913 0.9453 0.3504
14 O 0.4982 0.3246 0.0851
15 O 0.9453 0.1913 0.8504
16 O 0.0903 0.6200 0.8461
17 O 0.9097 0.3800 0.1539
18 O 0.6904 0.7496 0.0852
19 O 0.0782 0.8213 0.3830
20 O 0.0547 0.8087 0.1496
21 O 0.7496 0.6904 0.5852
22 O 0.5018 0.6754 0.9149
23 O 0.4834 0.5166 0.7500
24 O 0.6754 0.5018 0.4149
25 O 0.3096 0.2504 0.9148
26 O 0.2504 0.3096 0.4148
27 Na 0.9008 0.6076 0.7368
28 Na 0.3924 0.0992 0.7632
29 Na 0.0992 0.3924 0.2632
30 Na 0.6076 0.9008 0.2368
31 P 0.2863 0.4779 0.8667
32 P 0.5221 0.7137 0.6333
33 P 0.4779 0.2863 0.3667
34 P 0.7137 0.5221 0.1333